The following is a GGA-PBE calculation of a relaxed Li3Tm3Te2O12 crystal, from Materials Project.

Cell and atoms, written as CIF:
```
data_Li3Tm3Te2O12
_symmetry_space_group_name_H-M 'I a -3 d'
_symmetry_Int_Tables_number 230
_symmetry_space_group_name_Hall '-I 4bd 2c 3'
_cell_length_a 12.308
_cell_length_b 12.308
_cell_length_c 12.308
_cell_angle_alpha 90.00
_cell_angle_beta 90.00
_cell_angle_gamma 90.00
loop_
_atom_site_label
_atom_site_fract_x
_atom_site_fract_y
_atom_site_fract_z
Li1 0.000 0.250 0.375
Tm1 0.000 0.250 0.125
Te1 0.000 0.000 0.000
O1 0.025 0.054 0.647
```

Crystal system ... cubic
Calculated formation energy ... -2.78 eV/atom
Calculated volume ... 233.1 Å³/f.u.
Density ... 6945 kg/m³